(1)
Entry from Materials Project: crystalline ZrZn2 at its relaxed geometry (GGA-PBE).

As for the formation energy from the elements: -303 meV per atom. As for the volume: 17.0 A^3/atom. The value obtained for the raw total energy is -3.992 eV per atom.

The space group is Fd-3m (No. 227, origin choice 2) and the conventional cell measures 7.417, 7.417 and 7.417 Å, with angles of 90.00, 90.00 and 90.00 degrees. Symmetry generates all atoms from Zr at (0.125, 0.125, 0.125) and Zn at (0.000, 0.000, 0.500).



(2)
Entry from Materials Project: crystalline Zr3Zn2 at its relaxed geometry (GGA-PBE).

As for the formation energy from the elements: -190 meV per atom. As for the volume: 19.9 A^3/atom. The value obtained for the raw total energy is -5.822 eV per atom.

The space group is P4_2/mnm (No. 136) and the conventional cell measures 7.683, 7.683 and 6.734 Å, with angles of 90.00, 90.00 and 90.00 degrees. Symmetry generates all atoms from Zr at (0.000, 0.500, 0.250), Zr at (0.156, 0.156, 0.000), Zr at (0.201, 0.201, 0.500) and Zn at (0.120, 0.880, 0.298).



(3)
Entry from Materials Project: crystalline Zr3Zn at its relaxed geometry (GGA-PBE).

As for the formation energy from the elements: -125 meV per atom. As for the volume: 20.9 A^3/atom. The value obtained for the raw total energy is -6.851 eV per atom.

The space group is I4/mmm (No. 139) and the conventional cell measures 4.301, 4.301 and 9.027 Å, with angles of 90.00, 90.00 and 90.00 degrees. Symmetry generates all atoms from Zr at (0.000, 0.000, 0.000), Zr at (0.000, 0.500, 0.250) and Zn at (0.000, 0.000, 0.500).